a:
Material: TcC
Method: DFT, PBE
State: optimized geometry

Total magnetization (μB per cell): 4.00
V (Å³/cell): 99

a b c (Å): 4.633 4.633 4.633
angles (deg): 90.00 90.00 90.00
Space group F-43m (No. 216)
One atom of each set of equivalent atoms:
1 Tc 0.000 0.000 0.000 (multiplicity 4)
2 C 0.250 0.250 0.750 (multiplicity 4)

=====

b:
Material: TcC
Method: DFT, PBE
State: optimized geometry

Total magnetization (μB per cell): 1.71
V (Å³/cell): 82

a b c (Å): 4.340 4.340 4.340
angles (deg): 90.00 90.00 90.00
Space group Fm-3m (No. 225)
One atom of each set of equivalent atoms:
1 Tc 0.000 0.000 0.000 (multiplicity 4)
2 C 0.000 0.000 0.500 (multiplicity 4)

=====

How do the energies compare? Relative to the most stable structure, in meV/atom: a 0; b 93.

=====

a:
Material: ZrTiC2
Method: DFT, PBE
State: optimized geometry

Total magnetization (μB per cell): 0.00
V (Å³/cell): 140

a b c (Å): 3.2198 3.2198 15.6469
angles (deg): 90.00 90.00 120.00
Space group R-3m (No. 166, hexagonal axes)
One atom of each set of equivalent atoms:
1 Zr 0.0000 0.0000 0.0000 (multiplicity 3)
2 Ti 0.0000 0.0000 0.5000 (multiplicity 3)
3 C 0.0000 0.0000 0.2444 (multiplicity 6)

=====

b:
Material: ZrTiC2
Method: DFT, PBE
State: optimized geometry

Total magnetization (μB per cell): 0.00
V (Å³/cell): 47

a b c (Å): 3.224 3.224 4.536
angles (deg): 90.00 90.00 90.00
Space group P4/mmm (No. 123)
One atom of each set of equivalent atoms:
1 Zr 0.000 0.000 0.000 (multiplicity 1)
2 Ti 0.500 0.500 0.500 (multiplicity 1)
3 C 0.000 0.000 0.500 (multiplicity 1)
4 C 0.500 0.500 0.000 (multiplicity 1)

=====

How do the energies compare? Relative to the most stable structure, in meV/atom: a 0; b 37.

=====

a:
Material: UWC2
Method: DFT, PBE
State: optimized geometry

V (Å³/cell): 201

a b c (Å): 5.631 3.230 11.074
angles (deg): 90.00 90.00 90.00
Space group Pnma (No. 62)
One atom of each set of equivalent atoms:
1 U 0.081 0.250 0.142 (multiplicity 4)
2 W 0.080 0.750 0.397 (multiplicity 4)
3 C 0.163 0.250 0.755 (multiplicity 4)
4 C 0.249 0.250 0.493 (multiplicity 4)

=====

b:
Material: UWC2
Method: DFT, PBE
State: optimized geometry

Total magnetization (μB per cell): 4.39
V (Å³/cell): 221

a b c (Å): 5.279 3.935 10.663
angles (deg): 90.00 90.00 90.00
Space group Pnma (No. 62)
One atom of each set of equivalent atoms:
1 U 0.120 0.250 0.129 (multiplicity 4)
2 W 0.097 0.750 0.395 (multiplicity 4)
3 C 0.140 0.250 0.344 (multiplicity 4)
4 C 0.234 0.250 0.489 (multiplicity 4)

=====

How do the energies compare? Relative to the most stable structure, in meV/atom: a 0; b 550.